Entry from Materials Project: crystalline SrSm3Mn4O12 at its relaxed geometry (PBE with a Hubbard U).

- theoretical density (g/cm3) = 6.58
- DFT formation energy (eV/f.u.) = -57.33
- V (Å³/cell) = 239.8
- SG = No. 6
- E_tot (eV/atom) = -7.714
- magnetization (μB per cell) = 15.000
- MP2020-corrected energy (eV/cell) = -169.2

a b c (Å): 7.760 5.467 5.652
angles (deg): 89.70 90.00 90.00
Fractional coordinates of all 20 atoms:
1 O 0.288 0.205 0.810
2 O 0.196 0.715 0.705
3 O 0.000 0.410 0.021
4 O 0.000 0.094 0.529
5 O 0.804 0.715 0.705
6 O 0.282 0.283 0.289
7 O 0.718 0.283 0.289
8 O 0.500 0.936 0.470
9 O 0.199 0.782 0.203
10 O 0.500 0.593 0.989
11 O 0.712 0.205 0.810
12 O 0.801 0.782 0.203
13 Sm 0.000 0.514 0.441
14 Sm 0.500 0.015 0.056
15 Sm 0.000 0.987 0.946
16 Mn 0.250 0.497 0.997
17 Mn 0.251 0.002 0.501
18 Mn 0.749 0.002 0.501
19 Mn 0.750 0.497 0.997
20 Sr 0.500 0.492 0.540